Crystalline ErZnGe at its relaxed geometry, computed with r²SCAN.

Results
The value obtained for the total energy is -1.44383 Ry per atom. For the formation enthalpy at 0 K, the calculation gives -0.742 eV per atom. Its crystal system is hexagonal.

Cell and atoms, written as CIF:
```
data_ErZnGe
_cell_length_a 4.1637
_cell_length_b 4.1637
_cell_length_c 15.5609
_cell_angle_alpha 90.00
_cell_angle_beta 90.00
_cell_angle_gamma 120.00
_space_group_name_H-M_alt 'P 63/m m c'
_space_group_IT_number 194
_space_group_name_Hall '-P 6c 2c'
loop_
_atom_site_label
_atom_site_fract_x
_atom_site_fract_y
_atom_site_fract_z
Er1 0.0000 0.0000 0.0000
Er2 0.0000 0.0000 0.2500
Zn1 0.3333 0.6667 0.1484
Ge1 0.3333 0.6667 0.6137
```